## WBr5 (PBE-GGA)

Data for a relaxed WBr5 crystal.

CIF file:
```
data_WBr5
_space_group_name_H-M_alt 'P 1'
_space_group_IT_number 1
_cell_length_a 6.894
_cell_length_b 7.440
_cell_length_c 9.984
_cell_angle_alpha 109.82
_cell_angle_beta 90.85
_cell_angle_gamma 116.20
loop_
_space_group_symop_operation_xyz
'x,y,z'
loop_
_atom_site_label
_atom_site_type_symbol
_atom_site_fract_x
_atom_site_fract_y
_atom_site_fract_z
_atom_site_occupancy
W1 W 0.102 0.497 0.214 1
W2 W 0.898 0.503 0.786 1
Br1 Br 0.063 0.739 0.574 1
Br2 Br 0.113 0.281 0.851 1
Br3 Br 0.231 0.719 0.958 1
Br4 Br 0.294 0.271 0.242 1
Br5 Br 0.427 0.729 0.334 1
Br6 Br 0.573 0.271 0.666 1
Br7 Br 0.706 0.729 0.758 1
Br8 Br 0.769 0.281 0.042 1
Br9 Br 0.887 0.719 0.149 1
Br10 Br 0.937 0.261 0.426 1
```

Calculated volume   424 Å³/cell
Distance to the lowest polymorph of the same formula   966 meV per atom
ρ   4.57 g cm⁻³
Formation energy   0.05 eV per atom